Entry 1:
Density functional theory data (GGA+U) for an optimized crystal structure of Ca2Mn3P3H6O17.

extended XYZ file:
```
124
Lattice="-4.7215 -5.0553 6.0783 9.8553 -9.1362 0.0561 6.6835 7.2494 6.5831" Properties=species:S:1:pos:R:3 pbc="T T T"
P 6.6126 -5.1407 10.6632
P 3.0280 -8.9825 4.7536
P 6.0669 4.1218 5.3320
P 5.2046 -1.8014 2.0545
P 2.9079 0.7704 4.6575
P 8.9094 -7.7125 8.0601
P 8.1447 -3.6495 4.8781
P -2.0232 -4.7355 4.5345
P 5.7503 -11.0638 7.3856
P 13.8405 -2.2066 8.1831
P 3.6725 -3.2926 7.8395
P 8.7892 2.0404 7.9640
Ca 11.8487 -4.4458 10.2867
Ca -0.0314 -2.4963 2.4309
Ca 0.8226 -1.4454 6.6666
Ca 5.0927 -6.7474 2.7448
Ca 10.9946 -5.4967 6.0510
Ca 6.0496 -5.7926 6.9813
Ca 6.7246 -0.1946 9.9729
Ca 5.7676 -1.1495 5.7363
O 9.4623 -7.0192 6.8319
O 2.8434 -1.2226 11.3278
O 13.3381 -2.9514 6.9000
O 2.4270 -6.0775 5.0749
O 1.5196 -1.0088 0.8277
O 9.3902 -0.8646 7.6427
O 6.8418 -1.9119 8.2375
O 7.5751 -4.2814 6.1229
O 8.1325 1.4840 6.6624
O 6.0587 -12.5580 7.3511
O 7.0596 -4.6140 9.1674
O 4.3694 -2.7282 9.1238
O 0.0825 -5.3857 8.0394
O 6.5205 -10.2844 8.4462
O 3.6847 -8.4261 6.0552
O 5.3718 -1.7926 11.6264
O 3.0891 2.6853 11.0883
O 4.6734 -7.4427 8.5856
O 4.2421 -2.6607 6.5948
O 1.9949 1.0462 8.3444
O 5.7585 5.6159 5.3665
O 4.7576 -2.3281 3.5502
O 2.4104 0.0659 3.3572
O 5.6583 -6.3041 4.8506
O -0.8878 -1.4688 4.9205
O 2.3550 0.0772 5.8857
O 6.7180 -1.9960 2.0993
O 9.2242 -9.2473 8.0668
O 7.8550 -2.0956 4.8967
O 3.6848 -8.3857 3.5262
O -0.6788 -2.9059 8.3192
O 8.7281 -9.6274 1.6293
O 12.4960 -4.0362 4.3985
O 6.5621 -10.0644 2.8446
O 5.2968 3.3423 4.2714
O 6.2507 -10.5863 5.8902
O 8.9739 -5.7195 1.3898
O 2.1280 -3.0096 7.9353
O 4.9754 -5.0302 4.4801
O 9.4069 -7.0080 9.3604
O 7.1438 0.5007 4.1320
O 5.0992 -4.9461 10.6183
O 1.8280 -3.6438 1.4229
O 3.6601 -5.4067 1.3845
O 4.4893 0.6122 4.7101
O 2.5930 2.3052 4.6508
O 8.1571 -1.5354 11.3331
O 3.9622 -4.8465 7.8209
O -1.5209 -3.9907 5.8177
O 8.1325 1.4437 9.1914
O 7.4478 -4.2138 3.5938
O 5.5666 3.6443 6.8274
O 11.3807 -4.8865 8.1556
O 0.4365 -2.0556 4.5620
O 6.1590 -0.6379 7.8670
O 5.0582 0.9957 11.2247
O 9.6892 -3.9324 4.7824
O 9.8224 -7.9883 4.3732
O 11.7348 -1.5563 4.6782
O 5.2551 3.1223 9.8730
O 12.7050 -5.4733 7.7971
O 10.2977 -5.9333 11.8899
O 6.7590 -7.9378 1.4929
O 4.4923 -2.6346 0.9944
O 7.3280 -7.5543 8.0075
O 9.9892 -3.2983 11.2947
O 7.3249 -4.3074 11.7232
O 6.4455 -5.1494 1.0912
Mn 9.1364 4.7598 6.5069
Mn 6.2150 -8.2564 9.5036
Mn 3.3417 3.6247 3.2916
Mn 8.2694 -0.9434 3.3196
Mn 4.9276 -4.5681 0.0281
Mn 2.8145 0.5857 1.5730
Mn 0.0000 0.0000 0.0000
Mn 9.0027 -7.5278 11.1446
Mn 3.1856 -8.8584 7.8387
Mn 5.6022 1.3143 3.2140
Mn 2.6808 -11.7018 6.2107
Mn 8.6316 1.9164 4.8789
H 13.2166 -4.6703 7.5112
H 9.5924 -1.1636 8.5580
H 3.2137 -5.5651 5.3304
H 3.7867 -2.3548 3.6683
H 0.6951 -4.0780 5.7146
H 9.3726 -8.8128 4.1197
H 8.2555 -6.9207 3.6751
H 8.6035 -1.3769 7.3873
H 2.2248 -5.7785 4.1596
H 2.4447 1.8707 8.5979
H 6.0778 -2.4810 8.5218
H 8.0305 -4.5873 9.0493
H 3.5617 -0.0214 9.0425
H 5.7395 -4.4611 4.1958
H 11.1222 -2.8640 7.0030
H 2.3139 0.8619 7.4322
H 4.1152 -0.5262 9.0067
H -1.3993 -2.2718 5.2064
H 7.7020 -6.4158 3.7109
H 1.2399 -4.5917 5.7568
H 9.5033 -7.8039 5.2854
H 5.6127 2.6749 6.9512
H 10.5773 -2.3504 6.9609
H 6.2046 -9.6170 5.7664
```

V = 354.35 Å³/f.u.
distance to the lowest polymorph of the same formula = 200.2 meV/atom

Entry 2:
Density functional theory data (GGA+U) for an optimized crystal structure of Ca2MnP2H4O10.

extended XYZ file:
```
38
Lattice="-1.9307 5.5203 -0.0223 -5.4507 0.0100 7.8375 5.4347 0.0020 5.4429" Properties=species:S:1:pos:R:3 pbc="T T T"
P -4.9887 4.1637 5.8536
P 3.0419 1.3685 7.4046
P -2.4008 1.3725 8.6019
P 0.4540 4.1597 4.6563
Ca 0.6500 3.3345 7.7778
Ca -2.5968 2.1978 5.4804
Ca 2.8459 2.1938 4.2831
Ca -4.7927 3.3385 8.9751
O -6.1179 3.8351 6.8949
O 3.3386 0.0310 8.0916
O -1.2715 1.7012 7.5606
O -1.2573 4.6513 1.9064
O -2.5341 2.5344 2.9974
O 1.6746 1.3633 6.6303
O 0.5954 2.9919 3.6206
O -0.6752 3.8311 5.6976
O -3.7680 1.3673 7.8276
O 0.5874 2.9979 10.2608
O 4.1712 1.6972 6.3633
O 0.1573 5.4972 3.9693
O 1.8213 4.1649 5.4305
O -0.6814 0.8749 4.7115
O -2.1041 0.0351 9.2889
O -1.2653 4.6573 8.5466
O -0.6894 0.8809 11.3518
O -2.5421 2.5403 9.6376
O -3.6214 4.1689 6.6278
O -5.2854 5.5012 5.1666
H -0.1222 1.5771 10.9037
H -1.1786 0.4014 10.6050
H -0.7762 5.1368 9.2933
H -0.1141 1.5711 4.2634
H -1.8246 3.9551 2.3545
H -0.7681 5.1309 2.6531
H -1.8326 3.9611 8.9947
H -1.1706 0.3954 3.9648
Mn -0.0080 0.0060 6.6402
Mn 0.0000 0.0000 0.0000
```

V = 199.42 Å³/f.u.
final energy = -252.18 eV for the cell shown

Entry 3:
Density functional theory data (GGA+U) for an optimized crystal structure of Ca2Mn3P3H6O17.

extended XYZ file:
```
124
Lattice="8.8693 0.0000 0.0000 0.0000 13.4779 0.0000 -2.3566 0.0000 11.0577" Properties=species:S:1:pos:R:3 pbc="T T T"
O 5.2839 5.0624 2.0977
O 2.5704 1.9718 11.0300
O 0.4405 1.9887 0.8872
O 4.3894 9.4817 10.9774
O 7.1779 9.6490 7.6332
O 6.0722 11.4892 10.1704
O -1.9236 0.3940 9.1669
O 4.7369 3.2039 10.7962
O 8.4363 13.0839 1.8908
O 4.1056 1.6765 7.6266
O 4.0944 0.1238 2.3312
O 6.5232 8.2197 9.5414
O -0.7379 4.7503 6.4161
O 5.5892 13.2890 5.4852
O 7.2580 7.1330 7.4196
O 7.5028 1.4902 4.3582
O 2.8813 10.3465 8.4302
O 5.8379 6.1315 5.2297
O 5.1766 11.9790 7.6434
O 6.3245 5.2488 9.8870
O 2.4071 11.8014 3.4311
O 4.6596 0.6074 10.7585
O 1.3360 1.4989 3.4142
O -0.0105 5.2582 1.5163
O 6.1831 11.8849 1.8784
O 0.5974 9.9429 5.7903
O 3.1053 1.4831 5.1940
O 5.5677 10.7352 5.4486
O 0.1577 5.2400 8.9431
O -0.9901 11.9877 6.6995
O 1.0836 8.6425 3.6545
O 2.1232 3.9962 0.0802
O 1.5079 5.1459 3.6505
O 3.4073 11.9948 5.8636
O 2.1018 6.5501 0.0437
O -1.1888 1.4808 7.0451
O 2.4183 13.3541 8.7264
O 1.2288 8.4155 8.9599
O 3.5966 6.8627 3.1976
O 1.9270 5.2558 10.7229
O 3.7487 4.7672 5.5012
O 8.3562 10.5679 2.1044
O 6.6073 1.9035 1.8743
O 2.4531 3.6075 8.1562
O 0.3296 1.5930 9.1793
O 7.2505 8.7276 4.6416
O 2.9161 6.6152 7.8600
O 3.6314 3.1314 2.6274
O 6.3550 8.2379 2.1146
O 2.7640 8.7107 5.5564
O 1.7757 10.2740 0.2614
O 5.0048 8.3320 7.4072
O 1.8531 12.8705 0.2992
O -0.7453 6.3449 3.6381
O 0.9449 2.7427 5.6091
O -0.0947 11.5744 9.1834
O 0.1882 8.2292 1.1706
O -1.8435 2.9100 8.9533
O 4.5856 8.2221 0.3348
O 7.7015 11.9971 4.0125
O 0.6748 7.3464 5.8280
O 5.4290 4.8354 7.4031
O -0.6652 3.8289 3.4244
O 0.9235 0.1889 5.5725
O 5.9152 3.5350 5.2674
O 3.9423 11.5061 0.0276
O 4.4109 6.9278 11.0140
O 4.0596 9.8704 2.9014
Mn -1.0147 3.1135 5.4582
Mn 6.9387 11.7187 8.4214
Mn -0.4261 1.7592 2.6363
Mn -1.1783 6.7390 5.5288
Mn 8.1170 8.4982 2.8925
Mn 0.0000 6.7390 0.0000
Mn 7.5273 10.3644 5.5995
Mn 0.0000 0.0000 0.0000
Mn -2.1930 3.6255 10.9870
Mn 8.7056 9.8524 0.0706
Mn -1.1783 0.0000 5.5288
Mn -1.6044 4.9797 8.1651
H 3.1085 2.8820 7.8998
H 1.4196 8.2904 9.9385
H 4.3187 6.2572 2.8660
H 1.6759 0.4922 9.0022
H 4.8368 12.9857 2.0554
H 5.0588 1.7938 7.7842
H 3.3723 12.9961 2.6628
H 3.1404 0.4818 8.3949
H 1.4539 11.6841 3.2735
H 2.8542 6.2467 3.4734
H 1.7167 3.1304 8.6070
H 0.2756 8.5328 8.8023
H 3.6585 7.2312 7.5843
H 6.2371 4.9452 2.2553
H 2.2259 9.6210 8.6866
H 2.5979 11.9265 4.4097
H 3.4042 10.5959 3.1578
H 3.9147 1.5514 6.6479
H 5.0930 5.1875 1.1191
H 4.2868 3.8569 2.3710
H 4.7960 10.3475 2.4507
H 3.6177 9.8694 7.9795
H 2.1939 7.2207 8.1916
H 2.8950 3.6085 3.0782
P 0.4212 5.2746 10.4915
P 7.5975 11.8693 2.4675
P -1.0849 1.6086 8.5902
P 0.1233 11.5613 10.7396
P 1.5995 1.4644 4.9627
P 6.0915 8.2033 0.5661
P 6.4192 8.3476 7.9963
P 6.3894 1.9166 0.3181
P 4.9132 12.0135 6.0949
P 1.3016 8.6556 5.2108
P 0.0934 5.1303 3.0613
P 5.2111 4.8223 5.8469
Ca 3.6589 11.7607 10.3115
Ca 4.8372 8.4562 4.7827
Ca 1.6755 5.0217 6.2750
Ca 1.4577 11.8445 7.1087
Ca 2.6360 8.3724 1.5799
Ca 5.0550 1.6334 3.9489
Ca 3.8767 5.1056 9.4777
Ca 2.8538 1.7172 0.7461
```

V = 330.46 Å³/f.u.
distance to the lowest polymorph of the same formula = 0.0 meV/atom

Entry 4:
Density functional theory data (GGA+U) for an optimized crystal structure of CaMn2P2H4O10.

extended XYZ file:
```
19
Lattice="-3.0378 0.3444 -4.8094 2.2893 -4.8953 0.0505 -4.7674 -1.0995 7.1897" Properties=species:S:1:pos:R:3 pbc="T T T"
P -4.2659 -2.9061 2.7336
P -1.1523 -2.4386 -0.6486
O -1.0836 -2.8471 0.8589
O -4.3278 -4.4831 2.7178
O -3.6495 -0.4124 -2.6565
O -1.2277 -0.8940 -0.7465
O -1.6935 -5.2893 4.9181
O -4.1469 -2.3072 1.3339
O -3.0521 -2.4307 3.6067
O 0.1272 -3.0570 -1.2898
O -2.4002 -3.0752 -1.3671
O -5.6099 -2.4837 3.3971
H -4.4959 -4.9396 1.0946
H -0.9069 -1.6632 1.7066
H -4.1626 -0.1798 -1.8580
H -3.5438 -1.2164 4.4328
Mn -3.9486 -5.7598 4.6196
Mn -4.3106 -2.9290 -0.5789
Ca 1.0305 -3.8268 0.8214
```

V = 225.34 Å³/f.u.
final energy = -127.26 eV for the cell shown

Entry 5:
Density functional theory data (GGA+U) for an optimized crystal structure of Ca3MnH12S2O17.

extended XYZ file:
```
70
Lattice="4.3129 -7.4701 0.0000 4.3129 7.4701 0.0000 0.0000 0.0000 10.8425" Properties=species:S:1:pos:R:3 pbc="T T T"
O 2.2560 3.7703 8.1319
O 4.2715 5.9587 6.6402
O 5.5491 1.8088 4.6975
O 4.3129 -2.4900 4.1791
O 3.1048 1.7601 4.6975
O 3.1048 -1.7601 10.1187
O 4.3129 2.4900 6.6635
O 1.3296 -0.7199 1.2189
O 4.2848 3.9012 4.6975
O 1.3296 0.7199 9.6236
O 7.3375 0.7915 9.6236
O 7.3375 -0.7915 1.2189
O 5.5491 -1.8088 10.1187
O 1.3296 -0.7199 4.2024
O 4.2326 -0.0686 2.7106
O 4.2848 -3.9012 6.1451
O 6.4501 3.6312 8.1319
O 5.5491 1.8088 0.7238
O 3.1048 -1.7601 6.1451
O 2.2560 -3.7703 2.7106
O 4.3129 -2.4900 1.2422
O 3.1048 1.7601 0.7238
O 4.2715 5.9587 9.6236
O 4.2848 -3.9012 10.1187
O 4.2715 -5.9587 1.2189
O 5.5491 -1.8088 6.1451
O 4.3129 2.4900 9.6003
O 1.3296 0.7199 6.6402
O 4.2848 3.9012 0.7238
O 4.2715 -5.9587 4.2024
O 7.3375 -0.7915 4.2024
O 7.3375 0.7915 6.6402
O 4.2326 0.0686 8.1319
O 6.4501 -3.6312 2.7106
H 6.6601 1.2471 10.1817
H 2.0629 1.0788 10.1817
H 5.9045 3.3109 8.8897
H 4.2157 5.1442 10.1817
H 2.0629 1.0788 6.0821
H 6.6601 -1.2471 4.7604
H 2.8062 -3.4580 1.9529
H 2.0629 -1.0788 4.7604
H 6.6601 -1.2471 0.6609
H 5.9045 -3.3109 3.4684
H 2.0629 -1.0788 0.6609
H 4.2157 -5.1442 0.6609
H 6.6601 1.2471 6.0821
H 4.2279 -0.7013 3.4684
H 4.2279 -0.7013 1.9529
H 5.9045 3.3109 7.3741
H 2.8062 -3.4580 3.4684
H 2.8062 3.4580 8.8897
H 4.2279 0.7013 7.3741
H 2.8062 3.4580 7.3741
H 4.2157 5.1442 6.0821
H 4.2157 -5.1442 4.7604
H 5.9045 -3.3109 1.9529
H 4.2279 0.7013 8.8897
Ca 1.9341 -1.1892 8.1319
Ca 1.9341 1.1892 2.7106
Ca 4.3757 -5.2005 8.1319
Ca 6.6288 -1.0804 8.1319
Ca 6.6288 1.0804 2.7106
Ca 4.3757 5.2005 2.7106
S 4.3129 -2.4900 5.6731
S 4.3129 2.4900 5.1694
S 4.3129 2.4900 0.2519
S 4.3129 -2.4900 10.5907
Mn 0.0000 0.0000 5.4213
Mn 0.0000 0.0000 0.0000
```

V = 349.32 Å³/f.u.
final energy = -405.06 eV for the cell shown

Entry 6:
Density functional theory data (GGA+U) for an optimized crystal structure of Ca2Mn2Si4H8O17.

extended XYZ file:
```
33
Lattice="4.5520 3.1629 -0.1120 4.5520 -3.1629 -0.1120 0.0190 0.0000 -12.0990" Properties=species:S:1:pos:R:3 pbc="T T T"
O 6.1903 1.6610 -7.3516
O 3.2401 1.7758 -1.7544
O 5.8024 0.0461 -0.6106
O 5.7134 -1.8225 -10.6694
O 5.0301 -0.0185 -3.5575
O 0.0752 -0.0207 -3.4704
O 4.5615 -2.8781 -6.1615
O 1.1271 -0.1188 -1.1505
O 4.0929 -0.0185 -8.7655
O 2.0922 1.1803 -7.4572
O 2.9326 1.6610 -4.9714
O 9.0478 -0.0207 -8.8526
O 7.0307 1.1803 -4.8659
O 3.4096 -1.8225 -1.6536
O 5.8828 1.7758 -10.5687
O 3.3206 0.0461 -11.7125
O 7.9959 -0.1188 -11.1726
H 5.6940 0.4685 -4.1449
H 2.5706 1.4653 -5.9061
H 6.5524 1.4653 -6.4170
H 5.1392 0.1741 -1.3117
H 3.9838 0.1741 -11.0114
H 3.5429 -0.6773 -9.2277
H 3.4289 0.4685 -8.1782
H 5.5801 -0.6773 -3.0953
Ca 6.4397 -0.1476 -9.0800
Ca 2.6832 -0.1476 -3.2431
Si 0.3670 -0.0674 -10.2552
Si 0.9676 0.0216 -7.3280
Si 8.7559 -0.0674 -2.0678
Si 8.1553 0.0216 -4.9950
Mn 2.3650 -1.5946 -12.1200
Mn 6.7580 -1.5946 -0.2030
```

V = 348.38 Å³/f.u.
final energy = -218.66 eV for the cell shown